DFT (r2SCAN) results for crystalline PrGa2Ni3 at its relaxed geometry.

Cell lengths 8.8582, 8.8594, 4.1010 Å; angles 90.00, 90.00, 120.01 degrees
Fractional positions:
Ga (0.9999, 0.5277, 0.0000)
Ga (0.7269, 0.7270, 0.5000)
Ga (0.5277, 0.9999, 0.0000)
Ga (0.2732, 0.0001, 0.5000)
Ga (0.4722, 0.4721, 0.0000)
Ga (0.9999, 0.2730, 0.5000)
Pr (0.6667, 0.3334, 0.5000)
Pr (0.0001, 0.0002, 0.0000)
Pr (0.3333, 0.6666, 0.5000)
Ni (0.9999, 0.7127, 0.5000)
Ni (0.8321, 0.2046, 0.0000)
Ni (0.6275, 0.7953, 0.0000)
Ni (0.1678, 0.3726, 0.0000)
Ni (0.2874, 0.2873, 0.5000)
Ni (0.2045, 0.8321, 0.0000)
Ni (0.7954, 0.6276, 0.0000)
Ni (0.3728, 0.1679, 0.0000)
Ni (0.7126, 0.9999, 0.5000)

Output
magnetization	0.000	μB/cell
ΔH_f (0 K)	-0.505	eV per atom
SG	P-62m